! PBE Na4AsHO5, optimized geometry; values from VASP
! Electronic total energy = -5.06 eV per atom
! ΔH_f (0 K) = -2024 kJ/mol of formula units
! Total magnetization = 0.00 μB/cell
&SYSTEM
  ibrav = 0, nat = 44, ntyp = 4
/
ATOMIC_SPECIES
Na 22.99 Na.upf
As 74.92 As.upf
H 1.01 H.upf
O 16.00 O.upf
CELL_PARAMETERS angstrom
-3.960 -2.539 5.877
-1.219 7.889 2.586
-7.636 0.444 -4.954
ATOMIC_POSITIONS crystal
Na 0.013 0.152 0.629
Na 0.487 0.348 0.129
Na 0.513 0.848 0.371
Na 0.987 0.652 0.871
Na 0.987 0.848 0.371
Na 0.513 0.652 0.871
Na 0.487 0.152 0.629
Na 0.013 0.348 0.129
Na 0.250 0.266 0.870
Na 0.250 0.234 0.370
Na 0.750 0.734 0.130
Na 0.750 0.766 0.630
Na 0.000 0.500 0.500
Na 0.500 0.000 0.000
Na 0.500 0.500 0.500
Na 0.000 0.000 0.000
As 0.250 0.850 0.638
As 0.250 0.650 0.138
As 0.750 0.150 0.362
As 0.750 0.350 0.862
H 0.250 0.449 0.658
H 0.250 0.051 0.158
H 0.750 0.551 0.342
H 0.750 0.949 0.842
O 0.062 0.733 0.630
O 0.438 0.767 0.130
O 0.562 0.267 0.370
O 0.938 0.233 0.870
O 0.938 0.267 0.370
O 0.562 0.233 0.870
O 0.438 0.733 0.630
O 0.062 0.767 0.130
O 0.250 0.972 0.790
O 0.250 0.528 0.290
O 0.750 0.028 0.210
O 0.750 0.472 0.710
O 0.250 0.972 0.483
O 0.250 0.528 0.983
O 0.750 0.028 0.517
O 0.750 0.472 0.017
O 0.250 0.344 0.613
O 0.250 0.156 0.113
O 0.750 0.656 0.387
O 0.750 0.844 0.887

***

! PBE NaAsH4O5, optimized geometry; values from VASP
! Electronic total energy = -5.28 eV per atom
! ΔH_f (0 K) = -1657 kJ/mol of formula units
! Total magnetization = 0.00 μB/cell
&SYSTEM
  ibrav = 0, nat = 22, ntyp = 4
/
ATOMIC_SPECIES
Na 22.99 Na.upf
As 74.92 As.upf
H 1.01 H.upf
O 16.00 O.upf
CELL_PARAMETERS angstrom
7.223 0.000 0.000
0.000 5.632 0.000
0.000 0.259 5.913
ATOMIC_POSITIONS crystal
Na 0.500 0.000 0.000
Na 0.000 0.000 0.000
As 0.250 0.314 0.476
As 0.750 0.686 0.524
H 0.556 0.263 0.587
H 0.056 0.737 0.413
H 0.444 0.737 0.413
H 0.944 0.263 0.587
H 0.250 0.670 0.801
H 0.750 0.330 0.199
H 0.250 0.555 0.048
H 0.750 0.445 0.952
O 0.432 0.198 0.644
O 0.932 0.802 0.356
O 0.568 0.802 0.356
O 0.068 0.198 0.644
O 0.250 0.230 0.207
O 0.750 0.770 0.793
O 0.250 0.618 0.499
O 0.750 0.382 0.501
O 0.250 0.710 0.963
O 0.750 0.290 0.037

***

! PBE Na3As4H5O14, optimized geometry; values from VASP
! Electronic total energy = -5.51 eV per atom
! ΔH_f (0 K) = -4254 kJ/mol of formula units
! Total magnetization = 0.00 μB/cell
&SYSTEM
  ibrav = 0, nat = 104, ntyp = 4
/
ATOMIC_SPECIES
Na 22.99 Na.upf
As 74.92 As.upf
H 1.01 H.upf
O 16.00 O.upf
CELL_PARAMETERS angstrom
9.646 0.000 0.000
0.000 10.228 0.000
0.000 0.000 12.048
ATOMIC_POSITIONS crystal
Na 0.875 0.926 0.642
Na 0.883 0.087 0.358
Na 0.117 0.913 0.858
Na 0.125 0.074 0.142
Na 0.617 0.587 0.358
Na 0.625 0.426 0.642
Na 0.375 0.574 0.142
Na 0.383 0.413 0.858
Na 0.993 0.540 0.742
Na 0.007 0.460 0.242
Na 0.493 0.960 0.242
Na 0.507 0.040 0.742
As 0.794 0.783 0.894
As 0.795 0.215 0.109
As 0.205 0.785 0.609
As 0.206 0.217 0.394
As 0.705 0.715 0.109
As 0.706 0.283 0.894
As 0.294 0.717 0.394
As 0.295 0.285 0.609
As 0.471 0.781 0.932
As 0.470 0.206 0.069
As 0.530 0.794 0.569
As 0.529 0.219 0.432
As 0.030 0.706 0.069
As 0.029 0.281 0.932
As 0.971 0.719 0.432
As 0.970 0.294 0.569
H 0.834 0.008 0.887
H 0.836 0.991 0.115
H 0.164 0.009 0.615
H 0.166 0.992 0.387
H 0.664 0.491 0.115
H 0.666 0.508 0.887
H 0.334 0.492 0.387
H 0.336 0.509 0.615
H 0.728 0.691 0.718
H 0.731 0.316 0.280
H 0.269 0.684 0.780
H 0.272 0.309 0.218
H 0.769 0.816 0.280
H 0.772 0.191 0.718
H 0.228 0.809 0.218
H 0.231 0.184 0.780
H 0.366 0.980 0.990
H 0.634 0.020 0.490
H 0.134 0.480 0.990
H 0.866 0.520 0.490
O 0.865 0.934 0.839
O 0.868 0.065 0.163
O 0.132 0.935 0.663
O 0.135 0.066 0.339
O 0.632 0.565 0.163
O 0.635 0.434 0.839
O 0.365 0.566 0.339
O 0.368 0.435 0.663
O 0.395 0.646 0.884
O 0.391 0.343 0.114
O 0.609 0.657 0.614
O 0.605 0.354 0.384
O 0.109 0.843 0.114
O 0.105 0.146 0.884
O 0.895 0.854 0.384
O 0.891 0.157 0.614
O 0.611 0.843 0.853
O 0.615 0.158 0.150
O 0.385 0.842 0.650
O 0.389 0.157 0.353
O 0.885 0.658 0.150
O 0.889 0.343 0.853
O 0.111 0.657 0.353
O 0.115 0.342 0.650
O 0.352 0.910 0.925
O 0.365 0.071 0.079
O 0.635 0.929 0.579
O 0.648 0.090 0.425
O 0.135 0.571 0.079
O 0.148 0.410 0.925
O 0.852 0.590 0.425
O 0.865 0.429 0.579
O 0.977 0.721 0.929
O 0.983 0.273 0.073
O 0.017 0.727 0.573
O 0.023 0.279 0.429
O 0.517 0.773 0.073
O 0.523 0.221 0.929
O 0.477 0.779 0.429
O 0.483 0.227 0.573
O 0.816 0.700 0.763
O 0.821 0.300 0.239
O 0.179 0.700 0.739
O 0.184 0.300 0.263
O 0.679 0.800 0.239
O 0.684 0.200 0.763
O 0.316 0.800 0.263
O 0.321 0.200 0.739
O 0.715 0.642 0.966
O 0.721 0.358 0.036
O 0.279 0.642 0.536
O 0.285 0.358 0.466
O 0.779 0.858 0.036
O 0.785 0.142 0.966
O 0.215 0.858 0.466
O 0.221 0.142 0.536

***

! PBE Na4AsPH30O22, optimized geometry; values from VASP
! Electronic total energy = -5.13 eV per atom
! ΔH_f (0 K) = -8375 kJ/mol of formula units
! Total magnetization = 0.00 μB/cell
&SYSTEM
  ibrav = 0, nat = 116, ntyp = 5
/
ATOMIC_SPECIES
Na 22.99 Na.upf
As 74.92 As.upf
P 30.97 P.upf
H 1.01 H.upf
O 16.00 O.upf
CELL_PARAMETERS angstrom
11.039 0.000 0.000
0.000 9.381 0.000
0.000 8.315 10.506
ATOMIC_POSITIONS crystal
Na 0.854 0.833 0.523
Na 0.146 0.833 0.023
Na 0.646 0.167 0.477
Na 0.354 0.167 0.977
Na 0.146 0.844 0.523
Na 0.854 0.844 0.023
Na 0.355 0.155 0.477
Na 0.645 0.155 0.977
As 0.013 0.289 0.106
As 0.987 0.289 0.606
P 0.486 0.710 0.895
P 0.514 0.710 0.395
H 0.998 0.677 0.917
H 0.002 0.677 0.417
H 0.501 0.324 0.082
H 0.499 0.324 0.582
H 0.994 0.108 0.499
H 0.006 0.108 0.999
H 0.506 0.883 0.505
H 0.494 0.883 0.005
H 0.358 0.997 0.353
H 0.642 0.997 0.853
H 0.142 0.995 0.649
H 0.858 0.995 0.149
H 0.657 0.561 0.604
H 0.343 0.561 0.104
H 0.842 0.446 0.391
H 0.158 0.446 0.891
H 0.195 0.408 0.130
H 0.805 0.408 0.630
H 0.317 0.593 0.873
H 0.683 0.593 0.373
H 0.740 0.511 0.721
H 0.260 0.511 0.221
H 0.757 0.490 0.278
H 0.243 0.490 0.778
H 0.840 0.968 0.668
H 0.160 0.968 0.168
H 0.660 0.026 0.332
H 0.340 0.026 0.832
H 0.974 0.177 0.355
H 0.026 0.177 0.855
H 0.522 0.825 0.645
H 0.478 0.825 0.145
H 0.000 0.892 0.816
H 0.000 0.892 0.316
H 0.500 0.107 0.185
H 0.500 0.107 0.685
H 0.984 0.522 0.188
H 0.016 0.522 0.688
H 0.514 0.479 0.812
H 0.486 0.479 0.312
H 0.244 0.129 0.283
H 0.756 0.129 0.783
H 0.260 0.871 0.718
H 0.740 0.871 0.218
H 0.719 0.848 0.719
H 0.281 0.848 0.219
H 0.779 0.153 0.282
H 0.221 0.153 0.782
H 0.333 0.562 0.586
H 0.667 0.562 0.086
H 0.169 0.447 0.407
H 0.831 0.447 0.907
H 0.197 0.480 0.626
H 0.803 0.480 0.126
H 0.306 0.521 0.376
H 0.694 0.521 0.876
H 0.007 0.577 0.275
H 0.993 0.577 0.775
H 0.493 0.427 0.723
H 0.507 0.427 0.223
O 0.924 0.324 0.194
O 0.076 0.324 0.694
O 0.567 0.676 0.817
O 0.433 0.676 0.317
O 0.254 0.569 0.618
O 0.746 0.569 0.118
O 0.250 0.435 0.381
O 0.750 0.435 0.881
O 0.741 0.556 0.631
O 0.259 0.556 0.131
O 0.757 0.445 0.368
O 0.243 0.445 0.868
O 0.999 0.789 0.909
O 0.001 0.789 0.409
O 0.502 0.210 0.092
O 0.498 0.210 0.592
O 0.001 0.076 0.148
O 0.999 0.076 0.648
O 0.500 0.902 0.856
O 0.500 0.902 0.356
O 0.000 0.628 0.185
O 0.000 0.628 0.685
O 0.501 0.375 0.813
O 0.499 0.375 0.313
O 0.286 0.047 0.366
O 0.714 0.047 0.866
O 0.217 0.951 0.636
O 0.783 0.951 0.136
O 0.994 0.456 0.945
O 0.006 0.456 0.445
O 0.501 0.559 0.040
O 0.499 0.559 0.540
O 0.995 0.072 0.444
O 0.005 0.072 0.944
O 0.506 0.927 0.555
O 0.494 0.927 0.055
O 0.167 0.293 0.142
O 0.833 0.293 0.642
O 0.346 0.707 0.859
O 0.654 0.707 0.359
O 0.771 0.928 0.645
O 0.229 0.928 0.145
O 0.726 0.070 0.356
O 0.274 0.070 0.856